--- i ---
First-principles (r2SCAN) data for a geometry-optimized CsSi structure, as listed in the Materials Project database.

```
data_CsSi
_chemical_formula_sum 'Cs32 Si32'
_symmetry_space_group_name_H-M 'P 1'
_symmetry_Int_Tables_number 1
_cell_length_a 13.624
_cell_length_b 13.624
_cell_length_c 13.624
_cell_angle_alpha 90.00
_cell_angle_beta 90.00
_cell_angle_gamma 90.00
loop_
_symmetry_equiv_pos_as_xyz
'x,y,z'
loop_
_atom_site_label
_atom_site_fract_x
_atom_site_fract_y
_atom_site_fract_z
Si1 0.188 0.559 0.067
Cs1 0.837 0.434 0.358
Cs2 0.167 0.833 0.167
Si2 0.563 0.563 0.563
Si3 0.688 0.433 0.941
Cs3 0.337 0.858 0.934
Cs4 0.642 0.163 0.434
Si4 0.063 0.937 0.937
Cs5 0.934 0.337 0.858
Si5 0.437 0.437 0.563
Cs6 0.142 0.066 0.337
Cs7 0.663 0.142 0.934
Cs8 0.434 0.642 0.163
Si6 0.937 0.063 0.937
Cs9 0.833 0.167 0.167
Cs10 0.163 0.566 0.358
Si7 0.941 0.312 0.567
Cs11 0.858 0.934 0.337
Cs12 0.858 0.066 0.663
Cs13 0.837 0.566 0.642
Si8 0.063 0.063 0.063
Si9 0.567 0.059 0.688
Si10 0.812 0.441 0.067
Si11 0.559 0.933 0.812
Cs14 0.566 0.642 0.837
Si12 0.312 0.567 0.941
Cs15 0.833 0.833 0.833
Cs16 0.333 0.667 0.667
Si13 0.941 0.688 0.433
Si14 0.433 0.059 0.312
Si15 0.559 0.067 0.188
Cs17 0.566 0.358 0.163
Cs18 0.333 0.333 0.333
Cs19 0.163 0.434 0.642
Cs20 0.167 0.167 0.833
Si16 0.812 0.559 0.933
Cs21 0.434 0.358 0.837
Si17 0.933 0.188 0.441
Cs22 0.358 0.837 0.434
Cs23 0.358 0.163 0.566
Cs24 0.337 0.142 0.066
Cs25 0.142 0.934 0.663
Cs26 0.934 0.663 0.142
Si18 0.437 0.563 0.437
Si19 0.441 0.067 0.812
Si20 0.441 0.933 0.188
Si21 0.567 0.941 0.312
Cs27 0.066 0.337 0.142
Cs28 0.642 0.837 0.566
Si22 0.188 0.441 0.933
Cs29 0.663 0.858 0.066
Si23 0.067 0.188 0.559
Cs30 0.667 0.667 0.333
Cs31 0.667 0.333 0.667
Si24 0.433 0.941 0.688
Si25 0.933 0.812 0.559
Si26 0.937 0.937 0.063
Si27 0.312 0.433 0.059
Si28 0.059 0.688 0.567
Si29 0.067 0.812 0.441
Si30 0.688 0.567 0.059
Cs32 0.066 0.663 0.858
Si31 0.563 0.437 0.437
Si32 0.059 0.312 0.433
```

Calculated values
As for the size of the total moment: 0.0 μB per cell. For the calculated density, the calculation gives 3.38 g cm⁻³.

--- ii ---
First-principles (r2SCAN) data for a geometry-optimized CsSi structure, as listed in the Materials Project database.

```
data_CsSi
_chemical_formula_sum 'Cs16 Si16'
_symmetry_space_group_name_H-M 'P 1'
_symmetry_Int_Tables_number 1
_cell_length_a 12.317
_cell_length_b 12.317
_cell_length_c 12.317
_cell_angle_alpha 124.76
_cell_angle_beta 124.76
_cell_angle_gamma 81.93
loop_
_symmetry_equiv_pos_as_xyz
'x,y,z'
loop_
_atom_site_label
_atom_site_fract_x
_atom_site_fract_y
_atom_site_fract_z
Cs1 0.109 0.250 0.359
Cs2 0.250 0.391 0.141
Cs3 0.250 0.891 0.641
Si1 0.023 0.919 0.283
Cs4 0.495 0.245 0.491
Si2 0.081 0.865 0.104
Si3 0.240 0.635 0.717
Cs5 0.391 0.750 0.141
Cs6 0.245 0.255 0.750
Si4 0.419 0.523 0.783
Si5 0.919 0.135 0.896
Cs7 0.891 0.750 0.641
Cs8 0.750 0.109 0.359
Cs9 0.755 0.745 0.250
Si6 0.260 0.977 0.396
Cs10 0.005 0.495 0.750
Si7 0.635 0.419 0.396
Si8 0.865 0.260 0.783
Cs11 0.255 0.005 0.009
Si9 0.760 0.365 0.283
Si10 0.740 0.023 0.604
Si11 0.523 0.240 0.104
Cs12 0.505 0.755 0.509
Cs13 0.745 0.995 0.991
Si12 0.581 0.477 0.217
Si13 0.135 0.740 0.217
Cs14 0.609 0.250 0.859
Si14 0.977 0.081 0.717
Si15 0.477 0.760 0.896
Cs15 0.995 0.505 0.250
Cs16 0.750 0.609 0.859
Si16 0.365 0.581 0.604
```

Calculated values
As for the size of the total moment: 0.0 μB per cell. For the calculated density, the calculation gives 3.53 g cm⁻³.

Last place for stability: ii

--- i ---
First-principles (r2SCAN) data for a geometry-optimized Cs3Yb structure, as listed in the Materials Project database.

```
data_Cs3Yb
_chemical_formula_sum 'Cs3 Yb1'
_symmetry_space_group_name_H-M 'P 1'
_symmetry_Int_Tables_number 1
_cell_length_a 6.767
_cell_length_b 6.767
_cell_length_c 6.767
_cell_angle_alpha 90.00
_cell_angle_beta 90.00
_cell_angle_gamma 90.00
loop_
_symmetry_equiv_pos_as_xyz
'x,y,z'
loop_
_atom_site_label
_atom_site_fract_x
_atom_site_fract_y
_atom_site_fract_z
Yb1 0.000 0.000 0.000
Cs1 0.500 0.500 0.000
Cs2 0.000 0.500 0.500
Cs3 0.500 0.000 0.500
```

Calculated values
As for the size of the total moment: 2.0 μB per cell. For the calculated density, the calculation gives 3.06 g cm⁻³.

--- ii ---
First-principles (r2SCAN) data for a geometry-optimized Cs3Yb structure, as listed in the Materials Project database.

```
data_Cs3Yb
_chemical_formula_sum 'Cs6 Yb2'
_symmetry_space_group_name_H-M 'P 1'
_symmetry_Int_Tables_number 1
_cell_length_a 9.492
_cell_length_b 9.492
_cell_length_c 7.794
_cell_angle_alpha 90.00
_cell_angle_beta 90.00
_cell_angle_gamma 120.00
loop_
_symmetry_equiv_pos_as_xyz
'x,y,z'
loop_
_atom_site_label
_atom_site_fract_x
_atom_site_fract_y
_atom_site_fract_z
Yb1 0.333 0.667 0.750
Cs1 0.645 0.823 0.250
Cs2 0.823 0.177 0.750
Cs3 0.177 0.823 0.250
Cs4 0.355 0.177 0.750
Cs5 0.823 0.645 0.750
Cs6 0.177 0.355 0.250
Yb2 0.667 0.333 0.250
```

Calculated values
As for the size of the total moment: 2.6 μB per cell. For the calculated density, the calculation gives 3.12 g cm⁻³.

Last place for stability: i